# 1
Computed, not measured: Na8Ca3HfP6O24 after structural relaxation at the PBE-GGA level of DFT.

```
126
Lattice="9.3949 0.0000 0.0000 -4.6974 8.1362 0.0000 0.0000 0.0000 22.9033" Properties=species:S:1:pos:R:3 pbc="T T T"
Na 0.0000 0.0000 1.6104
Na 0.0000 0.0000 13.1483
Na -1.3497 2.8111 3.5125
Na -2.8842 5.6221 15.1396
Na 1.2707 2.8274 15.1396
Na -1.5881 7.8995 3.5125
Na 2.9530 0.1385 11.1738
Na 0.0000 5.4241 5.5627
Na 0.0000 5.4241 17.2781
Na 1.7148 2.4599 0.0000
Na 3.4870 0.0260 19.2394
Na 1.7658 3.0193 7.4295
Na 5.8972 0.0196 7.4295
Na 2.9765 5.1034 19.2394
Na 1.6135 7.8230 15.1396
Na 2.9378 5.5618 3.5125
Na 4.6974 2.7121 9.2109
Na 4.6974 2.7121 21.1935
Na 3.3409 5.5096 11.1738
Na 6.4072 0.2551 0.0000
Na 5.9703 5.4212 0.0000
Na 7.7984 2.4882 11.1738
Na 7.6288 3.0068 19.2394
Na 6.4293 5.0973 7.4295
Ca 0.0000 0.0000 9.8051
Ca 0.0000 0.0000 21.2893
Ca 0.0000 5.4241 2.1224
Ca 0.0000 5.4241 9.1301
Ca 0.0000 5.4241 13.5955
Ca 0.0000 5.4241 20.5970
Ca 4.6974 2.7121 1.5898
Ca 4.6974 2.7121 5.9218
Ca 4.6974 2.7121 17.4815
Hf 0.0000 0.0000 5.3362
Hf 0.0000 0.0000 16.7064
Hf 4.6974 2.7121 12.9743
P -1.4008 2.4298 7.5993
P -3.2878 5.7515 18.9440
P -2.9196 5.3526 11.4812
P -1.4719 2.9270 22.8294
P 1.3604 2.4131 18.9440
P -1.8928 8.1344 7.5993
P -1.4266 7.9474 22.8294
P 1.5217 2.9315 11.4812
P 1.7568 2.6593 3.8489
P 3.2301 0.3029 15.2242
P 2.8986 5.3980 22.8294
P 1.3979 7.9883 11.4812
P 6.2134 0.1918 3.8489
P 3.3447 5.1874 15.2242
P 3.2935 5.7082 7.5993
P 1.9274 8.1078 18.9440
P 7.5175 2.6459 15.2242
P 6.1220 5.2851 3.8489
O -0.8489 1.5311 6.4196
O -0.8255 1.5111 22.8243
O -3.7643 6.6523 17.6934
O -2.0568 5.0745 10.2265
O -1.1436 3.7308 21.5416
O -2.0580 5.5572 12.7309
O -0.9369 3.6401 1.1874
O -0.9210 3.8308 15.0383
O -1.7475 5.4897 3.7129
O -0.6693 3.7959 7.5037
O -1.7437 5.7129 18.8570
O 0.8393 1.3742 4.0232
O -2.9760 8.0955 22.8243
O 0.8185 1.5501 17.6934
O -2.9470 8.1059 6.4196
O 1.6434 0.2478 15.2570
O 0.9471 1.4990 11.3597
O 1.0605 1.6286 20.2147
O 2.0431 0.1111 8.9244
O 0.6217 3.7697 18.8570
O -1.0754 6.8179 7.5037
O 0.9137 3.5753 12.7309
O -1.0766 7.1276 1.1874
O 0.8169 3.8780 3.7129
O -0.9194 7.0184 15.0383
O -0.8947 7.2611 21.5416
O 1.3312 3.8177 10.2265
O 2.6221 2.3711 2.6019
O 2.6242 2.8680 5.0975
O 3.6015 1.2589 14.0114
O 3.8144 0.9038 16.4927
O 2.8892 2.5935 18.8514
O 3.7241 1.2402 7.4812
O 3.9266 1.2227 22.8843
O 3.0981 2.8026 11.6601
O 0.9305 6.9047 3.7129
O 1.8404 5.4232 15.0383
O 0.7257 7.3802 10.2265
O 1.7447 5.6586 7.5037
O 1.1219 6.7898 18.8570
O 2.0382 5.2804 21.5416
O 2.0135 5.5048 1.1874
O 1.1442 7.1398 12.7309
O 5.5990 0.8386 5.0975
O 3.5730 4.3809 16.4927
O 5.4187 1.2817 11.6601
O 3.7930 4.1243 22.8843
O 3.9094 4.2910 7.4812
O 5.7043 1.2053 18.8514
O 3.9869 4.3878 14.0114
O 6.0303 1.0853 2.6019
O 3.7721 6.3113 8.9244
O 7.4542 0.1041 20.2147
O 2.9457 8.0700 17.6934
O 3.7960 6.6355 6.4196
O 3.8015 6.6657 22.8243
O 7.6231 0.0707 11.3597
O 7.7851 0.0398 4.0232
O 4.0903 6.5890 15.2570
O 5.5755 4.0519 11.6601
O 6.5039 2.4895 14.0114
O 6.4588 2.6051 7.4812
O 6.3727 2.7892 22.8843
O 5.4989 4.3374 18.8514
O 5.4398 4.6798 2.6019
O 6.7049 2.8515 16.4927
O 5.8691 4.4296 5.0975
O 8.3586 1.2994 15.2570
O 8.2771 1.7138 8.9244
O 5.5776 6.4035 20.2147
O 5.5221 6.5665 11.3597
O 5.4679 6.7222 4.0232
```

Output
- crystal system = trigonal


# 2
Computed, not measured: MgMoW2Se4S2 after structural relaxation at the PBE-GGA level of DFT.

```
10
Lattice="3.2768 0.0000 0.0000 -1.6384 2.8378 0.0000 0.0000 0.0000 37.1986" Properties=species:S:1:pos:R:3 pbc="T T T"
Mg 0.0000 0.0000 0.0000
Mo 1.6384 0.9459 4.5934
W 0.0000 1.8919 12.9656
W 0.0000 1.8919 32.6201
Se 0.0000 1.8919 2.8841
Se 0.0000 1.8919 6.2843
Se 1.6384 0.9459 11.2650
Se 1.6384 0.9459 14.6662
S 1.6384 0.9459 31.0822
S 1.6384 0.9459 34.1642
```

Output
- energy relative to the lowest polymorph listed for this composition (eV per atom) = 0.007
- crystal system = trigonal


# 3
Computed, not measured: Hf9CoMo4 after structural relaxation at the PBE-GGA level of DFT.

```
28
Lattice="8.6845 0.0000 0.0000 -4.3423 7.5210 0.0000 0.0000 0.0000 8.4158" Properties=species:S:1:pos:R:3 pbc="T T T"
Hf -1.6235 4.0767 2.1040
Hf 0.0000 3.0310 4.6979
Hf 0.0000 3.0310 7.9258
Hf -1.7173 6.0055 4.6979
Hf -1.7173 6.0055 7.9258
Hf 2.6249 1.5155 0.4900
Hf 2.6249 1.5155 3.7179
Hf 1.6235 4.0767 2.1040
Hf 0.0000 6.8886 2.1040
Hf 4.3423 0.6324 6.3119
Hf 2.7188 3.4443 6.3119
Hf 1.7173 6.0055 4.6979
Hf 1.7173 6.0055 7.9258
Hf 6.0596 1.5155 0.4900
Hf 6.0596 1.5155 3.7179
Hf 4.3423 4.4900 0.4900
Hf 4.3423 4.4900 3.7179
Hf 5.9657 3.4443 6.3119
Co 0.0000 5.0140 6.3119
Co 4.3423 2.5070 2.1040
Mo 0.0000 0.0000 0.0000
Mo 0.0000 0.0000 4.2079
Mo 0.0000 1.6820 2.1040
Mo -2.8856 6.6800 2.1040
Mo 1.4566 0.8410 6.3119
Mo 2.8856 6.6800 2.1040
Mo 7.2279 0.8410 6.3119
Mo 4.3423 5.8390 6.3119
```

Output
- crystal system = hexagonal


# 4
Computed, not measured: BaCaEuNbO6 after structural relaxation at the PBE-GGA level of DFT.

```
10
Lattice="0.0000 4.2765 4.2765 4.2765 0.0000 4.2765 4.2765 4.2765 0.0000" Properties=species:S:1:pos:R:3 pbc="T T T"
Ba 0.0000 0.0000 0.0000
Ca 4.2765 4.2765 4.2765
Eu 6.4148 6.4148 6.4148
Nb 2.1383 2.1383 2.1383
O 2.1383 2.1383 0.1284
O 2.1383 0.1284 2.1383
O 4.1481 2.1383 2.1383
O 0.1284 2.1383 2.1383
O 2.1383 4.1481 2.1383
O 2.1383 2.1383 4.1481
```

Output
- energy relative to the lowest polymorph listed for this composition (eV per atom) = 0.102
- crystal system = cubic


# 5
Computed, not measured: ThGeTe after structural relaxation at the PBE-GGA level of DFT.

```
6
Lattice="-2.1120 2.1120 9.2158 2.1120 -2.1120 9.2158 2.1120 2.1120 -9.2158" Properties=species:S:1:pos:R:3 pbc="T T T"
Th 0.0000 0.0000 2.2742
Th 0.0000 0.0000 16.1574
Ge 2.1120 0.0000 0.0000
Ge 0.0000 2.1120 0.0000
Te 0.0000 0.0000 5.7361
Te 0.0000 0.0000 12.6955
```

Output
- crystal system = tetragonal


# 6
Computed, not measured: SrSn2Cl6O5 after structural relaxation at the PBE-GGA level of DFT.

```
28
Lattice="7.2355 -6.3037 0.0000 7.2355 6.3037 0.0000 -5.7988 0.0000 8.7861" Properties=species:S:1:pos:R:3 pbc="T T T"
Sr 2.8864 3.6557 6.5896
Sr 5.7858 -3.6557 2.1965
Sn -0.4935 1.5162 7.8466
Sn 2.4059 -1.5162 3.4536
Sn 6.2663 1.5162 5.3325
Sn 9.1657 -1.5162 0.9395
Cl -1.9661 1.1968 5.9732
Cl 4.0599 1.8980 1.0177
Cl 0.9332 -1.1968 1.5801
Cl 2.8599 0.7597 3.8746
Cl -0.0395 -0.7597 8.2676
Cl 1.1606 -1.8980 5.4107
Cl 7.5116 1.8980 3.3754
Cl 8.7116 0.7597 0.5185
Cl 5.8123 -0.7597 4.9116
Cl 7.7389 1.1968 7.2060
Cl 4.6122 -1.8980 7.7685
Cl 10.6383 -1.1968 2.8129
O 5.7858 6.2698 2.1965
O 0.3317 2.6772 4.4952
O 0.9264 2.6698 7.3442
O 4.8464 2.6698 5.8350
O 3.2311 -2.6772 0.1021
O 5.4411 2.6772 8.6840
O 3.8257 -2.6698 2.9511
O 7.7458 -2.6698 1.4419
O 8.3405 -2.6772 4.2909
O 2.8864 -6.2698 6.5896
```

Output
- energy relative to the lowest polymorph listed for this composition (eV per atom) = 0.016
- crystal system = monoclinic


# 7
Computed, not measured: NaCaAlF6 after structural relaxation at the PBE-GGA level of DFT.

```
27
Lattice="9.0712 0.0000 0.0000 -4.5356 7.8559 0.0000 0.0000 0.0000 5.1167" Properties=species:S:1:pos:R:3 pbc="T T T"
Na -3.2292 5.5931 0.0000
Na 1.3064 2.2628 0.0000
Na 6.4583 0.0000 0.0000
Ca -1.6803 2.9103 2.5583
Ca 3.3605 0.0000 2.5583
Ca 2.8554 4.9456 2.5583
Al 0.0000 0.0000 2.5583
Al 0.0000 5.2373 5.1044
Al 4.5356 2.6186 0.0123
F -0.1072 1.5191 3.5815
F -3.1664 7.1892 3.5815
F -1.3663 4.6218 4.0368
F 1.3692 0.6667 1.5352
F -0.1401 3.7432 1.0492
F -1.2239 6.1057 1.0492
F 1.2162 4.3618 4.0368
F 0.1501 6.7282 4.0368
F 3.3117 1.7502 4.0675
F 1.3640 5.8630 1.0492
F 3.1694 3.2341 1.0799
F 4.6857 1.1277 1.0799
F 4.3955 4.1128 4.0675
F 5.8996 1.9929 4.0675
F 3.2736 7.0035 3.5815
F 5.7518 3.4941 1.0799
F 4.4284 6.3368 1.5352
F 7.8092 0.8524 1.5352
```

Output
- energy relative to the lowest polymorph listed for this composition (eV per atom) = 0.000
- crystal system = trigonal
- piezoelectric modulus e_max (C/m2) = 0.17


# 8
Computed, not measured: Be4NbMo after structural relaxation at the PBE-GGA level of DFT.

```
12
Lattice="4.5440 0.0000 0.0000 -2.2720 3.9353 0.0000 0.0000 0.0000 7.4140" Properties=species:S:1:pos:R:3 pbc="T T T"
Be 0.0000 0.0000 0.0000
Be 0.0000 0.0000 3.7070
Be 0.0000 1.3429 1.8104
Be -1.1090 3.2638 1.8104
Be 1.1630 0.6715 5.6036
Be 1.1090 3.2638 1.8104
Be 3.3810 0.6715 5.6036
Be 2.2720 2.5923 5.6036
Nb 0.0000 2.6235 4.2289
Nb 2.2720 1.3117 3.1851
Mo 0.0000 2.6235 6.9635
Mo 2.2720 1.3117 0.4505
```

Output
- crystal system = trigonal


# 9
Computed, not measured: Nd4Fe after structural relaxation at the PBE-GGA level of DFT.

```
10
Lattice="0.0000 5.5020 5.5020 5.5020 0.0000 5.5020 5.5020 5.5020 0.0000" Properties=species:S:1:pos:R:3 pbc="T T T"
Nd 8.3514 5.4036 5.4036
Nd 2.6526 2.6526 2.6526
Nd 5.6004 5.6004 2.6526
Nd 5.6004 2.6526 5.6004
Nd 5.4036 8.3514 5.4036
Nd 5.4036 5.4036 8.3514
Nd 8.3514 8.3514 8.3514
Nd 2.6526 5.6004 5.6004
Fe 4.1265 4.1265 4.1265
Fe 6.8775 6.8775 6.8775
```

Output
- crystal system = cubic


# 10
Computed, not measured: PuFe2 after structural relaxation at the PBE-GGA level of DFT.

```
6
Lattice="0.0000 3.4015 3.4015 3.4015 0.0000 3.4015 3.4015 3.4015 0.0000" Properties=species:S:1:pos:R:3 pbc="T T T"
Pu 0.8504 0.8504 0.8504
Pu 5.9526 5.9526 5.9526
Fe 3.4015 1.7008 1.7008
Fe 1.7008 3.4015 1.7008
Fe 1.7008 1.7008 3.4015
Fe 3.4015 3.4015 3.4015
```

Output
- crystal system = cubic


# 11
Computed, not measured: CdH after structural relaxation at the PBE-GGA level of DFT.

```
4
Lattice="3.0605 0.0000 0.0000 -1.5303 2.6505 0.0000 0.0000 0.0000 7.2401" Properties=species:S:1:pos:R:3 pbc="T T T"
Cd 0.0000 1.7670 0.0000
Cd 1.5303 0.8835 3.6201
H 0.0000 1.7670 1.9611
H 1.5303 0.8835 5.5811
```

Output
- crystal system = hexagonal


# 12
Computed, not measured: Eu8Ni18P11 after structural relaxation at the PBE-GGA level of DFT.

```
74
Lattice="18.3192 0.0000 0.0000 -9.1596 15.8649 0.0000 0.0000 0.0000 3.9347" Properties=species:S:1:pos:R:3 pbc="T T T"
Eu 0.0000 0.0000 0.0000
Eu 16.3451 3.4154 0.0000
Eu 11.1303 12.4475 0.0000
Eu -3.9258 8.3100 1.9674
Eu 3.9449 0.0020 0.0000
Eu 1.9741 3.4154 0.0000
Eu 0.0000 8.2911 1.9674
Eu -1.9793 11.7193 1.9674
Eu 6.0430 3.4890 0.0000
Eu 3.9258 8.3100 1.9674
Eu 0.0000 15.1097 1.9674
Eu 1.9793 11.7193 1.9674
Eu 12.2761 3.4890 0.0000
Eu 9.1596 8.8870 0.0000
Eu 14.3743 0.0020 0.0000
Eu 7.1888 12.4475 0.0000
Ni 0.0000 2.3251 1.9674
Ni -7.1460 14.7023 1.9674
Ni -2.0001 5.8727 1.9674
Ni -5.0738 11.1964 1.9674
Ni 0.0000 5.8404 0.0000
Ni -4.1016 12.9447 0.0000
Ni -2.0139 9.4139 0.0000
Ni 3.9958 2.3070 1.9674
Ni 2.0001 5.8727 1.9674
Ni -3.0737 14.6607 1.9674
Ni 7.0347 0.4944 0.0000
Ni 3.9456 5.8450 0.0000
Ni 2.0139 9.4139 0.0000
Ni 0.0000 12.9021 0.0000
Ni 7.9578 2.0570 1.9674
Ni 5.7603 5.8632 1.9674
Ni 7.9739 4.6038 1.9674
Ni 9.1596 3.6787 0.0000
Ni 7.7656 6.0931 0.0000
Ni 10.3614 2.0570 1.9674
Ni 6.9621 7.9447 1.9674
Ni 5.0737 11.1964 1.9674
Ni 3.0737 14.6607 1.9674
Ni 11.2845 0.4944 0.0000
Ni 6.0704 9.5254 0.0000
Ni 4.1016 12.9447 0.0000
Ni 10.3453 4.6038 1.9674
Ni 9.1596 6.6574 1.9674
Ni 10.5536 6.0931 0.0000
Ni 7.1460 14.7023 1.9674
Ni 14.3234 2.3070 1.9674
Ni 9.1596 11.2510 1.9674
Ni 12.5588 5.8632 1.9674
Ni 11.3571 7.9447 1.9674
Ni 14.3736 5.8450 0.0000
Ni 12.2487 9.5254 0.0000
P -1.9670 7.0980 0.0000
P -3.9961 10.6124 0.0000
P 1.9911 1.1496 1.9674
P 0.0000 4.6213 1.9674
P -5.1574 13.5542 1.9674
P 1.9670 7.0980 0.0000
P -2.0291 14.0194 0.0000
P 0.0000 10.5766 0.0000
P 5.9354 1.1241 1.9674
P 3.9412 4.5781 1.9674
P 9.1596 1.5235 0.0000
P 5.8992 7.1707 0.0000
P 3.9961 10.6124 0.0000
P 2.0291 14.0194 0.0000
P 5.1575 13.5542 1.9674
P 12.3838 1.1241 1.9674
P 7.1654 10.1626 1.9674
P 12.4200 7.1707 0.0000
P 16.3281 1.1496 1.9674
P 9.1596 13.5658 1.9674
P 14.3780 4.5781 1.9674
P 11.1537 10.1626 1.9674
```

Output
- crystal system = hexagonal


| no. | ΔH_f (0 K) (meV per atom) |
| --- | --- |
| 1 | -2917 |
| 2 | -660 |
| 3 | -181 |
| 4 | -3098 |
| 5 | -1147 |
| 6 | -848 |
| 7 | -3832 |
| 8 | -257 |
| 9 | 429 |
| 10 | 293 |
| 11 | 377 |
| 12 | -797 |